# 1
Sb2TeRu: optimized geometry, PBE.

Cell: 8.139 8.139 8.139 Å, 110.18 109.20 109.04°
Fractional positions:
1 Ru 0.000 0.500 0.000
2 Ru 0.500 0.500 0.500
3 Ru 0.000 0.000 0.500
4 Ru 0.500 0.000 0.000
5 Sb 0.846 0.660 0.506
6 Sb 0.342 0.497 0.155
7 Sb 0.658 0.813 0.155
8 Sb 0.846 0.340 0.185
9 Sb 0.154 0.340 0.494
10 Sb 0.154 0.660 0.815
11 Sb 0.342 0.187 0.845
12 Sb 0.658 0.503 0.845
13 Te 0.486 0.160 0.326
14 Te 0.514 0.840 0.674
15 Te 0.167 0.840 0.326
16 Te 0.833 0.160 0.674

Energy   -5.393 eV/atom
Energy of formation from the pure elements   -0.2239 eV/atom



# 2
USbRu: optimized geometry, PBE.

Cell: 7.404 7.404 3.986 Å, 90.00 90.00 120.00°
Fractional positions:
1 Sb 0.000 0.257 0.000
2 Sb 0.257 0.000 0.000
3 Sb 0.743 0.743 0.000
4 U 0.414 0.414 0.500
5 U 0.586 0.000 0.500
6 U 0.000 0.586 0.500
7 Ru 0.000 0.000 0.500
8 Ru 0.667 0.333 0.000
9 Ru 0.333 0.667 0.000

Energy   -8.561 eV/atom
Energy of formation from the pure elements   -0.3293 eV/atom



# 3
USb2Ru: optimized geometry, PBE.

Cell: 4.384 4.384 9.175 Å, 90.00 90.00 90.00°
Fractional positions:
1 Ru 0.000 0.000 0.500
2 Ru 0.500 0.500 0.500
3 Sb 0.000 0.000 0.000
4 Sb 0.000 0.500 0.321
5 Sb 0.500 0.000 0.679
6 Sb 0.500 0.500 0.000
7 U 0.000 0.500 0.726
8 U 0.500 0.000 0.274

Energy   -7.537 eV/atom
Energy of formation from the pure elements   -0.3306 eV/atom



# 4
Zn11SbRu3: optimized geometry, PBE.

Cell: 5.263 5.263 16.965 Å, 90.00 90.00 98.01°
Fractional positions:
1 Ru 0.769 0.763 0.389
2 Ru 0.421 0.438 0.250
3 Ru 0.769 0.763 0.111
4 Ru 0.562 0.579 0.750
5 Ru 0.237 0.231 0.889
6 Ru 0.237 0.231 0.611
7 Zn 0.568 0.955 0.250
8 Zn 0.503 0.497 0.500
9 Zn 0.752 0.342 0.873
10 Zn 0.998 0.498 0.499
11 Zn 0.000 0.000 0.500
12 Zn 0.045 0.432 0.750
13 Zn 0.274 0.671 0.123
14 Zn 0.752 0.342 0.627
15 Zn 0.658 0.248 0.127
16 Zn 0.128 0.119 0.335
17 Zn 0.503 0.497 0.000
18 Zn 0.998 0.498 0.001
19 Zn 0.274 0.671 0.377
20 Zn 0.329 0.726 0.877
21 Zn 0.881 0.872 0.835
22 Zn 0.329 0.726 0.623
23 Zn 0.000 0.000 0.000
24 Zn 0.128 0.119 0.165
25 Zn 0.502 0.002 0.501
26 Zn 0.502 0.002 0.999
27 Zn 0.658 0.248 0.373
28 Zn 0.881 0.872 0.665
29 Sb 0.930 0.589 0.250
30 Sb 0.411 0.070 0.750

Energy   -3.201 eV/atom
Energy of formation from the pure elements   -0.1466 eV/atom



- Which value of energy of formation from the pure elements does entry 4 give?
  -0.1466 eV/atom



- Look up the energy of formation from the pure elements of the fourth one.
  -0.1466 eV/atom